1.
The following is a PBE+U calculation of an optimized crystal structure of Rb2MoS2O2, from the Materials Project.

Computed properties:
Its volume is 383.5 Å³/cell. As for the space-group type: C2/c, No. 15.

The structure in CIF format:
```
data_Rb2MoS2O2
_space_group_name_H-M_alt 'P 1'
_space_group_IT_number 1
_space_group_name_Hall 'P 1'
_cell_length_a 6.9734
_cell_length_b 6.9734
_cell_length_c 10.1899
_cell_angle_alpha 115.85
_cell_angle_beta 115.85
_cell_angle_gamma 64.62
loop_
_atom_site_label
_atom_site_fract_x
_atom_site_fract_y
_atom_site_fract_z
Rb1 0.1562 0.2649 0.3350
Rb2 0.2649 0.1562 0.8350
Rb3 0.7351 0.8438 0.1650
Rb4 0.8438 0.7351 0.6650
Mo1 0.4217 0.5783 0.2500
Mo2 0.5783 0.4217 0.7500
S1 0.2301 0.7401 0.0642
S2 0.2599 0.7699 0.4358
S3 0.7401 0.2301 0.5642
S4 0.7699 0.2599 0.9358
O1 0.2981 0.4109 0.6738
O2 0.4109 0.2981 0.1738
O3 0.5891 0.7019 0.8262
O4 0.7019 0.5891 0.3262
```

---

2.
The following is a PBE+U calculation of an optimized crystal structure of RbSbMoO6, from the Materials Project.

Computed properties:
Its volume is 284.0 Å³/cell. The value obtained for the maximum piezoelectric response is 2.4 C/m2. As for the space-group type: Ima2, No. 46.

The structure in CIF format:
```
data_RbSbMoO6
_space_group_name_H-M_alt 'P 1'
_space_group_IT_number 1
_space_group_name_Hall 'P 1'
_cell_length_a 7.3559
_cell_length_b 7.3559
_cell_length_c 7.3559
_cell_angle_alpha 120.84
_cell_angle_beta 91.20
_cell_angle_gamma 117.80
loop_
_atom_site_label
_atom_site_fract_x
_atom_site_fract_y
_atom_site_fract_z
Rb1 0.1382 0.2500 0.3882
Rb2 0.8618 0.7500 0.6118
Sb1 0.5384 0.0384 0.5000
Sb2 0.5384 0.5384 0.0000
Mo1 0.0168 0.5065 0.0103
Mo2 0.4963 0.0066 0.9897
O1 0.2183 0.7854 0.9329
O2 0.2203 0.4097 0.9348
O3 0.2203 0.7855 0.3106
O4 0.4617 0.2895 0.6722
O5 0.4749 0.2855 0.0652
O6 0.4749 0.9097 0.6894
O7 0.5991 0.1658 0.3092
O8 0.5991 0.7899 0.9333
O9 0.6173 0.7895 0.3278
O10 0.8525 0.2854 0.0671
O11 0.8566 0.2899 0.6908
O12 0.8566 0.6658 0.0667
```

---

What did we get for DFT total energy? Answer: -36.5; -56.7 eV/f.u., in the order shown.
What did we get for calculated formation energy? Answer: -1.59; -2.04 eV/atom, in the order shown.